Entry P
Below is a geometry-optimized Sr2Nd2MnCuO8 structure, with properties calculated at the PBE with a Hubbard U level.

Geometry as CIF:
```
data_Sr2Nd2MnCuO8
_chemical_formula_sum 'Sr2 Nd2 Mn1 Cu1 O8'
_cell_length_a 3.853
_cell_length_b 3.853
_cell_length_c 12.671
_cell_angle_alpha 90.00
_cell_angle_beta 90.00
_cell_angle_gamma 90.00
_symmetry_space_group_name_H-M 'P 4/m m m'
_symmetry_Int_Tables_number 123
_symmetry_space_group_name_Hall '-P 4 2'
loop_
_atom_site_label
_atom_site_fract_x
_atom_site_fract_y
_atom_site_fract_z
Sr1 0.000 0.000 0.144
Nd1 0.500 0.500 0.362
Mn1 0.500 0.500 0.000
Cu1 0.000 0.000 0.500
O1 0.000 0.000 0.341
O2 0.000 0.500 0.000
O3 0.000 0.500 0.500
O4 0.500 0.500 0.185
```



Entry Q
Below is a geometry-optimized Sr2Nd2MnCuO8 structure, with properties calculated at the PBE with a Hubbard U level.

Geometry as CIF:
```
data_Sr2Nd2MnCuO8
_chemical_formula_sum 'Sr4 Nd4 Mn2 Cu2 O16'
_cell_length_a 3.837
_cell_length_b 6.931
_cell_length_c 14.902
_cell_angle_alpha 80.18
_cell_angle_beta 82.62
_cell_angle_gamma 74.03
_symmetry_space_group_name_H-M 'P -1'
_symmetry_Int_Tables_number 2
loop_
_symmetry_equiv_pos_as_xyz
'x,y,z'
'-x,-y,-z'
loop_
_atom_site_label
_atom_site_fract_x
_atom_site_fract_y
_atom_site_fract_z
Sr1 0.144 0.250 0.465
Sr2 0.144 0.995 0.717
Nd1 0.132 0.757 0.963
Nd2 0.138 0.517 0.211
Mn1 0.499 0.372 0.626
Cu1 0.498 0.122 0.877
O1 0.006 0.621 0.369
O2 0.007 0.871 0.119
O3 0.307 0.436 0.922
O4 0.323 0.209 0.156
O5 0.338 0.644 0.676
O6 0.347 0.903 0.412
O7 0.495 0.255 0.754
O8 0.500 0.000 0.000
O9 0.500 0.500 0.500
```



Which structure is the least stable? The one labeled entry P.



Entry P
Below is a geometry-optimized Cu3Mo4O12 structure, with properties calculated at the PBE with a Hubbard U level.

Geometry as CIF:
```
data_Cu3Mo4O12
_chemical_formula_sum 'Cu3 Mo4 O12'
_cell_length_a 6.560
_cell_length_b 6.575
_cell_length_c 6.576
_cell_angle_alpha 109.46
_cell_angle_beta 109.39
_cell_angle_gamma 109.43
_symmetry_space_group_name_H-M 'P -1'
_symmetry_Int_Tables_number 2
loop_
_symmetry_equiv_pos_as_xyz
'x,y,z'
'-x,-y,-z'
loop_
_atom_site_label
_atom_site_fract_x
_atom_site_fract_y
_atom_site_fract_z
Cu1 0.000 0.000 0.000
Cu2 0.000 0.500 0.500
Cu3 0.500 0.000 0.500
Mo1 0.000 0.000 0.500
Mo2 0.000 0.500 0.000
Mo3 0.500 0.000 0.000
Mo4 0.500 0.500 0.500
O1 0.007 0.311 0.680
O2 0.181 0.367 0.175
O3 0.185 0.008 0.816
O4 0.322 0.192 0.508
O5 0.329 0.821 0.133
O6 0.365 0.685 0.693
```



Entry Q
Below is a geometry-optimized Cu3Mo4O12 structure, with properties calculated at the PBE with a Hubbard U level.

Geometry as CIF:
```
data_Cu3Mo4O12
_chemical_formula_sum 'Cu3 Mo4 O12'
_cell_length_a 6.559
_cell_length_b 6.567
_cell_length_c 6.575
_cell_angle_alpha 109.52
_cell_angle_beta 109.41
_cell_angle_gamma 109.37
_symmetry_space_group_name_H-M 'P -1'
_symmetry_Int_Tables_number 2
loop_
_symmetry_equiv_pos_as_xyz
'x,y,z'
'-x,-y,-z'
loop_
_atom_site_label
_atom_site_fract_x
_atom_site_fract_y
_atom_site_fract_z
Cu1 0.000 0.000 0.000
Cu2 0.000 0.500 0.500
Cu3 0.500 0.000 0.500
Mo1 0.000 0.000 0.500
Mo2 0.000 0.500 0.000
Mo3 0.500 0.000 0.000
Mo4 0.500 0.500 0.500
O1 0.007 0.311 0.680
O2 0.182 0.368 0.175
O3 0.185 0.008 0.816
O4 0.322 0.192 0.508
O5 0.329 0.821 0.133
O6 0.366 0.686 0.693
```



Which structure is the least stable? The one labeled entry P.



Entry P
Below is a geometry-optimized Cu3Mo2O9 structure, with properties calculated at the PBE with a Hubbard U level.

Geometry as CIF:
```
data_Cu3Mo2O9
_chemical_formula_sum 'Cu12 Mo8 O36'
_cell_length_a 7.738
_cell_length_b 6.915
_cell_length_c 14.826
_cell_angle_alpha 90.00
_cell_angle_beta 90.00
_cell_angle_gamma 90.00
_symmetry_space_group_name_H-M 'P n m a'
_symmetry_Int_Tables_number 62
loop_
_symmetry_equiv_pos_as_xyz
'x,y,z'
'-x,-y,-z'
'-x+1/2,-y,z+1/2'
'x+1/2,y,-z+1/2'
'x+1/2,-y+1/2,-z+1/2'
'-x+1/2,y+1/2,z+1/2'
'-x,y+1/2,-z'
'x,-y+1/2,z'
loop_
_atom_site_label
_atom_site_fract_x
_atom_site_fract_y
_atom_site_fract_z
Cu1 0.000 0.000 0.000
Cu2 0.164 0.250 0.143
Cu3 0.204 0.750 0.436
Mo1 0.158 0.250 0.387
Mo2 0.235 0.250 0.669
O1 0.031 0.250 0.611
O2 0.067 0.750 0.596
O3 0.087 0.250 0.017
O4 0.139 0.535 0.137
O5 0.196 0.250 0.785
O6 0.208 0.250 0.270
O7 0.246 0.534 0.940
```



Entry Q
Below is a geometry-optimized Cu3Mo2O9 structure, with properties calculated at the PBE with a Hubbard U level.

Geometry as CIF:
```
data_Cu3Mo2O9
_chemical_formula_sum 'Cu12 Mo8 O36'
_cell_length_a 7.761
_cell_length_b 14.881
_cell_length_c 6.891
_cell_angle_alpha 90.00
_cell_angle_beta 90.00
_cell_angle_gamma 90.00
_symmetry_space_group_name_H-M 'P n a 21'
_symmetry_Int_Tables_number 33
loop_
_symmetry_equiv_pos_as_xyz
'x,y,z'
'-x,-y,z+1/2'
'-x+1/2,y+1/2,z+1/2'
'x+1/2,-y+1/2,z'
loop_
_atom_site_label
_atom_site_fract_x
_atom_site_fract_y
_atom_site_fract_z
Cu1 0.003 0.002 0.000
Cu2 0.163 0.141 0.258
Cu3 0.203 0.435 0.753
Mo1 0.154 0.386 0.252
Mo2 0.238 0.666 0.252
O1 0.033 0.610 0.248
O2 0.069 0.595 0.745
O3 0.089 0.015 0.252
O4 0.132 0.131 0.541
O5 0.142 0.134 0.971
O6 0.195 0.268 0.258
O7 0.202 0.781 0.245
O8 0.245 0.936 0.537
O9 0.248 0.438 0.468
```



Which structure is the least stable? The one labeled entry P.



Entry P
Below is a geometry-optimized Cu2NiO4 structure, with properties calculated at the PBE with a Hubbard U level.

Geometry as CIF:
```
data_Cu2NiO4
_chemical_formula_sum 'Cu8 Ni4 O16'
_cell_length_a 5.323
_cell_length_b 5.323
_cell_length_c 9.864
_cell_angle_alpha 90.00
_cell_angle_beta 90.00
_cell_angle_gamma 90.00
_symmetry_space_group_name_H-M 'I 41/a'
_symmetry_Int_Tables_number 88
loop_
_symmetry_equiv_pos_as_xyz
'x,y,z'
'-x,-y,-z'
'-y+3/4,x+1/4,z+1/4'
'y+3/4,-x+1/4,-z+1/4'
'-x+1/2,-y,z+1/2'
'x+1/2,y,-z+1/2'
'y+3/4,-x+3/4,z+3/4'
'-y+3/4,x+3/4,-z+3/4'
'x+1/2,y+1/2,z+1/2'
'-x+1/2,-y+1/2,-z+1/2'
'-y+1/4,x+3/4,z+3/4'
'y+1/4,-x+3/4,-z+3/4'
'-x,-y+1/2,z'
'x,y+1/2,-z'
'y+1/4,-x+1/4,z+1/4'
'-y+1/4,x+1/4,-z+1/4'
loop_
_atom_site_label
_atom_site_fract_x
_atom_site_fract_y
_atom_site_fract_z
Cu1 0.000 0.000 0.000
Ni1 0.000 0.250 0.625
O1 0.185 0.048 0.841
```



Entry Q
Below is a geometry-optimized Cu2NiO4 structure, with properties calculated at the PBE with a Hubbard U level.

Geometry as CIF:
```
data_Cu2NiO4
_chemical_formula_sum 'Cu8 Ni4 O16'
_cell_length_a 7.467
_cell_length_b 9.679
_cell_length_c 5.353
_cell_angle_alpha 90.00
_cell_angle_beta 133.37
_cell_angle_gamma 90.00
_symmetry_space_group_name_H-M 'C 1 2/c 1'
_symmetry_Int_Tables_number 15
loop_
_symmetry_equiv_pos_as_xyz
'x,y,z'
'-x,-y,-z'
'-x,y,-z+1/2'
'x,-y,z+1/2'
'x+1/2,y+1/2,z'
'-x+1/2,-y+1/2,-z'
'-x+1/2,y+1/2,-z+1/2'
'x+1/2,-y+1/2,z+1/2'
loop_
_atom_site_label
_atom_site_fract_x
_atom_site_fract_y
_atom_site_fract_z
Cu1 0.000 0.000 0.000
Cu2 0.250 0.250 0.000
Ni1 0.000 0.417 0.250
O1 0.177 0.163 0.634
O2 0.198 0.418 0.777
```



Which structure is the least stable? The one labeled entry P.



Entry P
Below is a geometry-optimized Cu2WO4 structure, with properties calculated at the PBE with a Hubbard U level.

Geometry as CIF:
```
data_Cu2WO4
_chemical_formula_sum 'Cu8 W4 O16'
_cell_length_a 7.144
_cell_length_b 8.273
_cell_length_c 8.507
_cell_angle_alpha 111.06
_cell_angle_beta 97.23
_cell_angle_gamma 113.77
_symmetry_space_group_name_H-M 'P -1'
_symmetry_Int_Tables_number 2
loop_
_symmetry_equiv_pos_as_xyz
'x,y,z'
'-x,-y,-z'
loop_
_atom_site_label
_atom_site_fract_x
_atom_site_fract_y
_atom_site_fract_z
Cu1 0.092 0.190 0.113
Cu2 0.133 0.090 0.799
Cu3 0.244 0.501 0.466
Cu4 0.312 0.038 0.079
W1 0.109 0.465 0.825
W2 0.434 0.539 0.204
O1 0.023 0.803 0.287
O2 0.043 0.561 0.679
O3 0.103 0.457 0.073
O4 0.296 0.963 0.829
O5 0.324 0.455 0.666
O6 0.412 0.593 0.982
O7 0.415 0.704 0.396
O8 0.495 0.979 0.193
```



Entry Q
Below is a geometry-optimized Cu2WO4 structure, with properties calculated at the PBE with a Hubbard U level.

Geometry as CIF:
```
data_Cu2WO4
_chemical_formula_sum 'Cu8 W4 O16'
_cell_length_a 5.934
_cell_length_b 8.114
_cell_length_c 8.297
_cell_angle_alpha 109.78
_cell_angle_beta 95.24
_cell_angle_gamma 92.21
_symmetry_space_group_name_H-M 'P -1'
_symmetry_Int_Tables_number 2
loop_
_symmetry_equiv_pos_as_xyz
'x,y,z'
'-x,-y,-z'
loop_
_atom_site_label
_atom_site_fract_x
_atom_site_fract_y
_atom_site_fract_z
Cu1 0.000 0.000 0.000
Cu2 0.000 0.000 0.500
Cu3 0.127 0.359 0.052
Cu4 0.144 0.238 0.337
Cu5 0.224 0.709 0.403
W1 0.349 0.645 0.775
W2 0.487 0.073 0.822
O1 0.132 0.669 0.600
O2 0.141 0.549 0.876
O3 0.240 0.067 0.673
O4 0.289 0.823 0.251
O5 0.294 0.924 0.950
O6 0.417 0.286 0.009
O7 0.436 0.171 0.287
O8 0.493 0.461 0.660
```



Which structure is the least stable? The one labeled entry P.



Entry P
Below is a geometry-optimized Cu2WO4 structure, with properties calculated at the PBE with a Hubbard U level.

Geometry as CIF:
```
data_Cu2WO4
_chemical_formula_sum 'Cu8 W4 O16'
_cell_length_a 7.357
_cell_length_b 7.548
_cell_length_c 7.999
_cell_angle_alpha 97.89
_cell_angle_beta 102.87
_cell_angle_gamma 94.62
_symmetry_space_group_name_H-M 'P -1'
_symmetry_Int_Tables_number 2
loop_
_symmetry_equiv_pos_as_xyz
'x,y,z'
'-x,-y,-z'
loop_
_atom_site_label
_atom_site_fract_x
_atom_site_fract_y
_atom_site_fract_z
Cu1 0.013 0.177 0.361
Cu2 0.120 0.400 0.127
Cu3 0.140 0.149 0.705
Cu4 0.222 0.953 0.458
W1 0.259 0.843 0.992
W2 0.492 0.244 0.268
O1 0.107 0.672 0.054
O2 0.113 0.988 0.862
O3 0.183 0.288 0.552
O4 0.262 0.687 0.765
O5 0.325 0.012 0.209
O6 0.362 0.436 0.273
O7 0.411 0.795 0.514
O8 0.481 0.177 0.999
```



Entry Q
Below is a geometry-optimized Cu2WO4 structure, with properties calculated at the PBE with a Hubbard U level.

Geometry as CIF:
```
data_Cu2WO4
_chemical_formula_sum 'Cu8 W4 O16'
_cell_length_a 5.946
_cell_length_b 8.010
_cell_length_c 8.301
_cell_angle_alpha 110.18
_cell_angle_beta 96.09
_cell_angle_gamma 93.26
_symmetry_space_group_name_H-M 'P 1'
_symmetry_Int_Tables_number 1
loop_
_symmetry_equiv_pos_as_xyz
'x,y,z'
loop_
_atom_site_label
_atom_site_fract_x
_atom_site_fract_y
_atom_site_fract_z
Cu1 0.000 0.000 0.000
Cu2 0.010 0.871 0.289
Cu3 0.059 0.341 0.342
Cu4 0.622 0.951 0.559
Cu5 0.698 0.387 0.597
Cu6 0.717 0.263 0.887
Cu7 0.850 0.639 0.455
Cu8 0.859 0.633 0.947
W1 0.192 0.274 0.714
W2 0.350 0.709 0.770
W3 0.367 0.556 0.123
W4 0.524 0.992 0.179
O1 0.105 0.707 0.620
O2 0.137 0.447 0.188
O3 0.148 0.554 0.892
O4 0.289 0.926 0.959
O5 0.297 0.804 0.230
O6 0.329 0.085 0.599
O7 0.393 0.181 0.297
O8 0.414 0.459 0.657
O9 0.432 0.340 0.933
O10 0.568 0.708 0.999
O11 0.580 0.815 0.702
O12 0.607 0.563 0.279
O13 0.736 0.961 0.353
O14 0.738 0.090 0.082
O15 0.976 0.300 0.539
O16 0.980 0.172 0.809
```



Which structure is the least stable? The one labeled entry P.